[1]
## Li7Mn2Co3O12 (PBE with a Hubbard U)

Data for Li7Mn2Co3O12 after structural relaxation.

Computed properties:
SG: P-1 (2)
polymorph energy (0 for the lowest one): 101.3 meV/atom
ρ: 4.0 g/cm³
calculated volume: 219.6 Å³ per cell
E_form: -1.832 eV/atom

Unit cell a=3.0359 b=7.5457 c=9.9366 alpha=101.71 beta=94.43 gamma=97.68
Fractional coordinates of all 24 atoms:
Li 0.5000 0.5000 0.5000
Li 0.9204 0.3362 0.2578
Li 0.0796 0.6638 0.7422
Li 0.4215 0.3329 0.7479
Li 0.2501 0.0017 0.2539
Li 0.5785 0.6671 0.2521
Li 0.7499 0.9983 0.7461
O 0.5764 0.5849 0.8837
O 0.2367 0.9230 0.8828
O 0.6064 0.7572 0.6148
O 0.0584 0.6134 0.3849
O 0.4236 0.4151 0.1163
O 0.9416 0.3866 0.6151
O 0.3936 0.2428 0.3852
O 0.7633 0.0770 0.1172
O 0.7393 0.9318 0.3920
O 0.9018 0.2593 0.8850
O 0.2607 0.0682 0.6080
O 0.0982 0.7407 0.1150
Co 0.8426 0.1769 0.4981
Co 0.0000 0.5000 0.0000
Co 0.1574 0.8231 0.5019
Mn 0.6630 0.8309 0.9996
Mn 0.3370 0.1691 0.0004

=====

[2]
## Li3MnCoO5 (PBE with a Hubbard U)

Data for Li3MnCoO5 after structural relaxation.

Computed properties:
SG: C2/m (12)
polymorph energy (0 for the lowest one): 60.5 meV/atom
ρ: 3.9 g/cm³
calculated volume: 184.0 Å³ per cell
E_form: -1.899 eV/atom

Unit cell a=5.1205 b=5.1205 c=13.3265 alpha=76.93 beta=76.93 gamma=32.81
Fractional coordinates of all 20 atoms:
Li 0.0000 0.0000 0.0000
Li 0.8945 0.8945 0.7172
Li 0.1055 0.1055 0.2828
Li 0.3119 0.3119 0.9149
Li 0.6881 0.6881 0.0851
Li 0.5000 0.5000 0.5000
O 0.5662 0.5662 0.6364
O 0.7593 0.7593 0.2690
O 0.3439 0.3439 0.0609
O 0.4338 0.4338 0.3636
O 0.1667 0.1667 0.4536
O 0.9630 0.9630 0.8434
O 0.2407 0.2407 0.7310
O 0.8333 0.8333 0.5464
O 0.0370 0.0370 0.1566
O 0.6561 0.6561 0.9391
Mn 0.1980 0.1980 0.6017
Mn 0.8020 0.8020 0.3983
Co 0.6027 0.6027 0.8215
Co 0.3973 0.3973 0.1785

=====

[3]
## Li7Mn2Co3O12 (PBE with a Hubbard U)

Data for Li7Mn2Co3O12 after structural relaxation.

Computed properties:
SG: P1 (1)
polymorph energy (0 for the lowest one): 74.7 meV/atom
ρ: 4.0 g/cm³
calculated volume: 217.3 Å³ per cell
E_form: -1.859 eV/atom

Unit cell a=2.9838 b=5.9886 c=12.4990 alpha=76.85 beta=89.11 gamma=87.75
Fractional coordinates of all 24 atoms:
O 0.5398 0.2404 0.0060
O 0.5082 0.0961 0.3272
O 0.4569 0.7634 0.9919
O 0.5011 0.9134 0.6769
O 0.0035 0.6130 0.8317
O 0.9787 0.0529 0.8372
O 0.4947 0.5633 0.3470
O 0.0154 0.9321 0.1626
O 0.0358 0.7291 0.4987
O 0.9596 0.2640 0.4933
O 0.5010 0.4210 0.6497
O 0.9950 0.4057 0.1759
Li 0.0120 0.6829 0.6613
Li 0.5016 0.9873 0.5072
Li 0.5022 0.3482 0.8235
Li 0.4958 0.6654 0.1697
Li 0.9928 0.1556 0.6600
Li 0.0015 0.5014 0.0019
Li 0.0047 0.8300 0.3355
Co 0.5024 0.5064 0.5070
Co 0.5060 0.1688 0.1703
Co 0.0025 0.3321 0.3374
Mn 0.4897 0.8291 0.8264
Mn 0.9992 0.9984 0.0017

=====

- polymorph energy (0 for the lowest one) of number 1 (Li7Mn2Co3O12)?
  101.3 meV/atom